Record 1
FeOF | Materials Project | PBE+U | optimized geometry; space-group type = Pm, No. 6
1.0
-2.7474 1.3751 0.2246
-1.1954 -2.9679 3.5489
5.3539 9.1150 9.6826
Fe O F
6 6 6
Cartesian
2.4012 3.1767 9.9219
-0.9920 0.9441 3.2107
0.5925 0.0815 6.7482
0.6289 3.5726 6.9446
2.4286 6.6408 10.1738
4.1657 6.1678 13.1922
1.4586 1.8286 6.6456
-1.2431 0.7453 1.3559
2.6984 6.8737 12.0482
3.2645 4.8953 9.9605
0.8488 3.7009 8.8492
0.9378 1.3332 3.3090
0.5488 3.7842 4.6699
-0.8898 0.7693 5.5314
-0.2156 -0.9936 3.4463
2.6267 4.1705 6.5956
4.4145 7.2292 9.7379
2.2725 6.6974 7.9178

***

Record 2
Li4Fe5P6WO24 | Materials Project | PBE+U | optimized geometry; space-group type = P1, No. 1
1.0
8.4923 0.0000 0.0000
3.8466 7.7567 0.0000
3.8628 2.5105 7.3564
O Fe P Li W
24 5 6 4 1
Cartesian
5.0361 4.3149 0.7441
7.0677 3.2670 4.3137
8.8849 2.1471 0.5705
6.8046 5.6358 7.2768
9.2417 4.7059 0.0399
10.1161 4.5526 4.2013
3.9875 3.5576 3.7114
11.0639 5.9053 6.6355
12.1068 6.4089 3.5057
11.0305 2.6136 5.4903
6.0843 5.7421 3.1705
9.2977 6.9228 2.9909
7.7167 3.9424 1.8041
10.3222 2.3974 2.9824
7.2947 8.1193 6.7114
4.1336 0.4970 1.3350
12.1165 9.8004 6.0824
10.0797 8.6962 5.0274
5.5424 7.7859 4.4558
5.8908 2.8470 6.5731
8.5322 6.2737 5.5803
10.3439 7.3236 0.7524
4.9830 7.7190 1.9435
6.2736 1.5297 2.2528
2.4178 1.5458 1.0977
10.5823 6.7109 4.8173
8.0132 5.1627 3.6634
0.1782 0.0464 0.0302
5.6950 3.6271 2.5725
6.8315 2.2796 5.4863
7.8946 6.6257 6.9889
9.3658 8.0192 1.8516
8.2389 3.5490 0.3930
11.0285 3.2764 4.0067
5.0586 6.8978 3.2611
9.8104 4.4339 6.2332
8.2103 8.1355 4.7243
8.2782 2.0714 2.6021
10.8039 5.7358 2.1829
13.8215 8.7420 6.2922

***

Record 3
MnH4C4O6 | Materials Project | PBE+U | optimized geometry; space-group type = C2/c, No. 15
1.0
-4.7250 -6.5589 2.1829
6.6563 -4.9571 -1.1092
4.3344 2.1680 16.0396
C H Mn O
24 24 6 36
Cartesian
4.6189 -8.4931 3.9186
3.7213 -1.9323 2.6189
1.0822 -1.8676 14.1079
1.8113 -5.2120 0.2670
3.6304 -1.3548 3.9742
2.9003 -5.6615 8.8025
4.1006 -4.9649 8.3020
0.4251 -2.5313 12.9664
5.1835 -7.4804 3.0054
1.6467 -0.8550 13.1946
2.1650 -4.3832 8.8113
1.3348 -6.6718 14.0969
5.2560 -7.8131 5.0633
1.0096 -1.5349 12.0499
5.8406 -6.8167 4.1469
2.5443 -7.4157 14.4944
2.6353 -7.9932 13.1391
4.7303 -2.7154 16.5626
3.3653 -3.6865 8.3107
4.9309 -2.6762 3.0164
4.8262 -2.1197 4.3783
1.5354 -6.6326 0.5507
1.4395 -7.2283 12.7350
4.4544 -4.1361 16.8463
9.0708 -4.2145 13.9971
7.3894 -2.9198 8.8141
5.3593 0.5822 14.3086
4.8623 -0.2821 15.5819
-2.8051 -5.1335 3.1162
0.8315 -0.8340 6.9716
1.4033 -9.0659 1.5313
4.1424 -7.9014 9.3857
6.4941 -3.9326 7.9300
-0.1487 -1.2513 2.2746
2.1233 -1.4466 7.7275
1.4130 -1.1438 1.8677
-1.1237 -6.4282 8.2992
4.8527 -8.2042 15.2455
0.9064 -9.9302 2.8047
2.2901 -0.2413 10.2607
2.4660 -9.4314 7.3341
3.7997 0.0834 9.7792
-2.2829 -5.9469 1.8221
-0.2284 -5.4154 9.1833
8.5485 -3.4012 15.2912
6.4144 -8.0967 14.8386
3.9755 -9.1067 6.8526
5.4342 -8.5140 10.1417
7.6477 -4.4281 2.9274
3.3282 -2.4786 -0.5546
-2.3625 -3.2795 1.0914
-1.3821 -4.9199 14.1859
5.4953 -1.3946 7.4652
-0.1953 -2.1954 9.1112
2.6368 -6.8606 9.1051
3.3877 -8.8226 12.5535
5.5901 0.2854 15.2253
5.7238 -3.4514 2.4155
9.0409 -4.2033 14.9863
6.8493 -3.0112 7.9897
-2.7752 -5.1447 2.1269
5.2825 -8.0193 6.3102
6.6021 -5.8227 4.2982
5.2773 -5.2981 7.9840
0.9831 -1.3287 10.8031
3.4167 -4.7810 17.1688
-0.3365 -3.5253 12.8151
0.6392 -0.6520 2.2472
0.6756 -9.6334 1.8880
3.6289 -2.4874 8.0082
5.0653 -8.2366 9.2649
4.0517 -1.6489 16.5325
5.1502 -7.2571 1.7632
3.9122 -9.5278 3.7551
0.9884 -4.0499 9.1293
2.8489 -4.5670 -0.0556
5.6265 -8.6960 14.8661
1.2003 -1.1114 7.8484
0.7584 -7.0961 11.6802
2.3534 0.1797 13.3581
0.5418 -5.8966 14.6978
-0.5837 -6.3369 9.1236
5.5073 -2.2519 5.4330
1.1155 -2.0910 15.3500
3.0366 -1.8187 1.5625
3.2734 -9.8062 6.9000
2.9923 0.4582 10.2132
2.8780 -0.5254 4.5597
2.2140 -7.6992 0.5807
3.2291 -7.5293 15.5508

***

The records above yield energy of formation values of -2.032, -2.373, -1.186 eV per atom, respectively.